Entry 1:
Here is crystalline Ca2GaPd2 at its relaxed geometry from the Materials Project. Energies are from PBE.

Calculated values
Formation energy in eV per atom: -0.7839

a b c (Å): 5.740 5.740 7.880
angles (deg): 78.64 78.64 60.10
Fractional positions:
Pd 0.996 0.260 0.997
Ca 0.516 0.784 0.850
Ca 0.784 0.516 0.350
Ga 0.134 0.866 0.250
Ga 0.866 0.134 0.750
Ca 0.216 0.484 0.650
Pd 0.740 0.004 0.503
Pd 0.004 0.740 0.003
Ca 0.484 0.216 0.150
Pd 0.260 0.996 0.497


Entry 2:
Here is crystalline CaGaPt at its relaxed geometry from the Materials Project. Energies are from PBE.

Calculated values
Formation energy in eV per atom: -0.9194

a b c (Å): 4.471 7.174 7.622
angles (deg): 90.00 90.00 90.00
Fractional positions:
Pt 0.750 0.204 0.102
Ca 0.250 0.011 0.312
Pt 0.250 0.296 0.602
Pt 0.250 0.796 0.898
Ca 0.250 0.511 0.188
Ga 0.250 0.166 0.922
Pt 0.750 0.704 0.398
Ca 0.750 0.489 0.812
Ga 0.750 0.834 0.078
Ga 0.750 0.334 0.422
Ga 0.250 0.666 0.578
Ca 0.750 0.989 0.688


Entry 3:
Here is crystalline Ca3Ga2Pt2 at its relaxed geometry from the Materials Project. Energies are from PBE.

Calculated values
Formation energy in eV per atom: -0.8577

a b c (Å): 5.809 7.929 13.914
angles (deg): 90.00 90.00 90.00
Fractional positions:
Ca 0.143 0.893 0.902
Ca 0.143 0.893 0.598
Pt 0.361 0.532 0.906
Pt 0.361 0.968 0.094
Ca 0.857 0.393 0.598
Pt 0.639 0.468 0.094
Ga 0.378 0.250 0.500
Pt 0.639 0.468 0.406
Ca 0.143 0.607 0.402
Ca 0.857 0.107 0.402
Ca 0.371 0.243 0.750
Ca 0.857 0.107 0.098
Ga 0.142 0.908 0.250
Pt 0.361 0.968 0.406
Ca 0.371 0.257 0.250
Ga 0.378 0.250 0.000
Pt 0.639 0.032 0.594
Ga 0.858 0.092 0.750
Pt 0.639 0.032 0.906
Ga 0.622 0.750 0.500
Ca 0.629 0.743 0.750
Ca 0.857 0.393 0.902
Ga 0.142 0.592 0.750
Pt 0.361 0.532 0.594
Ca 0.629 0.757 0.250
Ga 0.622 0.750 0.000
Ca 0.143 0.607 0.098
Ga 0.858 0.408 0.250


Entry 4:
Here is crystalline CaGa2S4 at its relaxed geometry from the Materials Project. Energies are from PBE.

Calculated values
Magnetization in Bohr magnetons per cell: 0.000
Energy relative to the lowest polymorph listed for this composition in kJ/mol of formula units: 0
Formation energy in eV per atom: -1.4051
Energy with MP2020 corrections in eV/atom: -4.920

a b c (Å): 14.377 11.887 11.840
angles (deg): 74.59 52.85 52.55
Fractional positions:
S 0.538 0.542 0.211
S 0.708 0.712 0.541
S 0.542 0.538 0.709
S 0.211 0.709 0.538
Ca 0.000 0.000 0.000
Ga 0.593 0.157 0.266
Ca 0.248 0.248 0.752
Ga 0.265 0.984 0.093
Ga 0.237 0.512 0.489
S 0.279 0.968 0.782
Ga 0.761 0.488 0.013
S 0.811 0.941 0.775
S 0.472 0.775 0.941
S 0.038 0.541 0.212
S 0.970 0.782 0.968
S 0.039 0.541 0.712
S 0.282 0.971 0.280
S 0.775 0.472 0.811
S 0.212 0.709 0.038
Ca 0.752 0.752 0.248
S 0.941 0.811 0.472
Ca 0.250 0.250 0.250
S 0.712 0.708 0.039
S 0.782 0.970 0.279
Ga 0.984 0.265 0.657
S 0.309 0.439 0.778
Ga 0.266 0.985 0.593
S 0.541 0.038 0.209
S 0.439 0.309 0.475
S 0.041 0.038 0.709
Ca 0.002 0.002 0.498
S 0.971 0.282 0.468
Ca 0.500 0.500 0.500
Ga 0.093 0.657 0.265
S 0.475 0.778 0.439
S 0.038 0.041 0.212
Ga 0.489 0.762 0.237
S 0.709 0.212 0.041
Ga 0.738 0.013 0.488
Ca 0.750 0.750 0.750
Ga 0.657 0.093 0.984
S 0.212 0.209 0.038
Ca 0.498 0.498 0.002
S 0.709 0.211 0.542
S 0.968 0.279 0.970
Ga 0.157 0.593 0.985
S 0.541 0.039 0.708
Ga 0.985 0.266 0.157
Ga 0.013 0.738 0.761
S 0.209 0.212 0.541
Ga 0.512 0.237 0.762
Ga 0.488 0.761 0.738
Ga 0.762 0.489 0.512
S 0.280 0.468 0.282
S 0.468 0.280 0.971
S 0.778 0.475 0.309


Entry 5:
Here is crystalline CaGa2S4 at its relaxed geometry from the Materials Project. Energies are from PBE.

Calculated values
Magnetization in Bohr magnetons per cell: 0.000
Energy relative to the lowest polymorph listed for this composition in kJ/mol of formula units: 3
Formation energy in eV per atom: -1.4013
Energy with MP2020 corrections in eV/atom: -4.917

a b c (Å): 27.410 6.928 7.323
angles (deg): 70.65 90.00 90.00
Fractional positions:
S 0.747 0.755 0.757
Ga 0.150 0.632 0.710
S 0.529 0.217 0.314
Ga 0.766 0.582 0.550
Ga 0.436 0.733 0.985
Ga 0.734 0.082 0.550
Ca 0.307 0.597 0.956
S 0.029 0.283 0.686
S 0.870 0.572 0.979
S 0.343 0.873 0.572
S 0.901 0.136 0.491
S 0.514 0.236 0.784
S 0.657 0.127 0.428
S 0.403 0.415 0.010
Ga 0.064 0.233 0.985
S 0.721 0.694 0.262
S 0.753 0.255 0.757
Ca 0.071 0.558 0.327
Ga 0.948 0.053 0.271
Ca 0.693 0.403 0.044
Ga 0.234 0.418 0.450
Ca 0.929 0.442 0.673
Ga 0.350 0.132 0.710
S 0.099 0.864 0.509
S 0.843 0.627 0.428
Ca 0.193 0.097 0.956
S 0.370 0.928 0.021
S 0.779 0.194 0.262
S 0.401 0.364 0.509
S 0.486 0.764 0.216
S 0.253 0.245 0.243
S 0.903 0.085 0.990
S 0.971 0.717 0.314
S 0.599 0.636 0.491
Ga 0.052 0.947 0.729
S 0.247 0.745 0.243
S 0.630 0.072 0.979
S 0.157 0.373 0.572
Ca 0.807 0.903 0.044
S 0.471 0.783 0.686
Ga 0.850 0.368 0.290
Ga 0.448 0.447 0.729
Ga 0.266 0.918 0.450
S 0.986 0.736 0.784
S 0.279 0.306 0.738
S 0.097 0.915 0.010
Ca 0.429 0.058 0.327
S 0.597 0.585 0.990
Ca 0.571 0.942 0.673
S 0.130 0.428 0.021
S 0.221 0.806 0.738
Ga 0.650 0.868 0.290
S 0.014 0.264 0.216
Ga 0.564 0.267 0.015
Ga 0.552 0.553 0.271
Ga 0.936 0.767 0.015


Entry 6:
Here is crystalline CaGa2S4 at its relaxed geometry from the Materials Project. Energies are from PBE.

Calculated values
Energy relative to the lowest polymorph listed for this composition in kJ/mol of formula units: 12
Formation energy in eV per atom: -1.3880
Energy with MP2020 corrections in eV/atom: -4.903

a b c (Å): 5.927 5.927 10.242
angles (deg): 90.00 90.00 118.82
Fractional positions:
S 0.353 0.192 0.500
S 0.647 0.808 0.500
Ga 0.766 0.237 0.500
S 0.192 0.353 0.000
S 0.500 0.000 0.830
S 0.000 0.500 0.670
Ca 0.500 0.500 0.250
S 0.000 0.500 0.330
S 0.808 0.647 0.000
S 0.500 0.000 0.170
Ga 0.234 0.763 0.500
Ga 0.763 0.234 0.000
Ga 0.237 0.766 0.000
Ca 0.500 0.500 0.750


Entry 7:
Here is crystalline Ca11GaSb9 at its relaxed geometry from the Materials Project. Energies are from PBE.

Calculated values
Formation energy in eV per atom: -1.0576
Energy with MP2020 corrections in eV/atom: -4.022

a b c (Å): 12.056 12.056 12.056
angles (deg): 120.99 117.39 91.44
Fractional positions:
Ca 0.001 0.332 0.985
Sb 0.286 0.712 0.647
Sb 0.499 0.217 0.991
Ca 0.999 0.999 0.000
Ca 0.243 0.982 0.625
Ca 0.347 0.017 0.015
Sb 0.554 0.801 0.014
Sb 0.286 0.301 0.247
Ga 0.779 0.779 0.000
Ca 0.236 0.586 0.795
Ca 0.847 0.832 0.331
Ca 0.858 0.482 0.739
Sb 0.725 0.717 0.718
Sb 0.225 0.507 0.009
Sb 0.786 0.540 0.986
Ca 0.358 0.618 0.375
Sb 0.786 0.139 0.574
Ca 0.100 0.366 0.372
Ca 0.290 0.086 0.350
Ca 0.059 0.240 0.636
Ca 0.104 0.740 0.181
Sb 0.312 0.316 0.644
Ca 0.736 0.940 0.650
Sb 0.171 0.816 0.003
Ca 0.790 0.440 0.205
Sb 0.812 0.168 0.997
Sb 0.565 0.212 0.426
Ca 0.743 0.118 0.261
Ca 0.600 0.228 0.734
Sb 0.054 0.040 0.753
Ga 0.279 0.279 0.000
Ca 0.494 0.866 0.266
Sb 0.999 0.007 0.282
Sb 0.422 0.922 0.500
Sb 0.671 0.668 0.356
Ca 0.501 0.517 0.669
Ca 0.604 0.424 0.364
Ca 0.559 0.924 0.819
Sb 0.065 0.639 0.353
Ca 0.994 0.728 0.628
Sb 0.922 0.422 0.500
Ca 0.499 0.499 0.000


Entry 8:
Here is crystalline Ca2GaSi at its relaxed geometry from the Materials Project. Energies are from PBE.

Calculated values
Formation energy in eV per atom: -0.5012
Energy with MP2020 corrections in eV/atom: -3.617

a b c (Å): 5.965 5.965 4.107
angles (deg): 90.00 90.00 136.08
Fractional positions:
Si 0.931 0.069 0.000
Ca 0.360 0.640 0.500
Ga 0.068 0.932 0.500
Ca 0.641 0.359 0.000


Entry 9:
Here is crystalline Ca4GaSi3 at its relaxed geometry from the Materials Project. Energies are from PBE.

Calculated values
Formation energy in eV per atom: -0.5013
Energy with MP2020 corrections in eV/atom: -3.917

a b c (Å): 4.018 4.501 10.836
angles (deg): 90.00 90.00 90.00
Fractional positions:
Ca 0.500 0.500 0.140
Ca 0.500 0.000 0.638
Ca 0.000 0.500 0.859
Si 0.500 0.500 0.433
Ca 0.000 0.000 0.365
Si 0.500 0.000 0.928
Ga 0.000 0.000 0.070
Si 0.000 0.500 0.567


Entry 10:
Here is crystalline CaGaSi at its relaxed geometry from the Materials Project. Energies are from PBE.

Calculated values
Formation energy in eV per atom: -0.4204
Energy with MP2020 corrections in eV/atom: -3.907

a b c (Å): 4.147 4.147 4.416
angles (deg): 90.00 90.00 120.00
Fractional positions:
Si 0.333 0.667 0.500
Ga 0.000 0.000 0.500
Ca 0.667 0.333 0.000


Entry 11:
Here is crystalline Ca2ZnGa3 at its relaxed geometry from the Materials Project. Energies are from PBE.

Calculated values
Formation energy in eV per atom: -0.4832

a b c (Å): 5.797 5.797 7.367
angles (deg): 50.66 50.66 45.82
Fractional positions:
Ga 0.161 0.161 0.394
Ga 0.839 0.839 0.217
Ca 0.542 0.542 0.208
Zn 0.835 0.835 0.609
Ca 0.459 0.459 0.791
Ga 0.165 0.165 0.780


Entry 12:
Here is crystalline SrCaGdNbO6 at its relaxed geometry from the Materials Project. Energies are from PBE.

Calculated values
Magnetization in Bohr magnetons per cell: 7.000
Energy relative to the lowest polymorph listed for this composition in kJ/mol of formula units: 96
Formation energy in eV per atom: -3.2841
Energy with MP2020 corrections in eV/atom: -9.040

a b c (Å): 5.987 5.987 5.987
angles (deg): 60.00 60.00 60.00
Fractional positions:
Nb 0.500 0.500 0.500
O 0.737 0.737 0.263
Gd 0.000 0.000 0.000
Ca 0.750 0.750 0.750
O 0.263 0.263 0.737
Sr 0.250 0.250 0.250
O 0.737 0.263 0.737
O 0.263 0.737 0.737
O 0.263 0.737 0.263
O 0.737 0.263 0.263


Entry 13:
Here is crystalline SrCaGdNbO6 at its relaxed geometry from the Materials Project. Energies are from PBE.

Calculated values
Magnetization in Bohr magnetons per cell: 14.000
Energy relative to the lowest polymorph listed for this composition in kJ/mol of formula units: 0
Formation energy in eV per atom: -3.3840
Energy with MP2020 corrections in eV/atom: -9.140

a b c (Å): 5.822 5.822 8.531
angles (deg): 90.00 90.00 90.00
Fractional positions:
O 0.660 0.807 0.985
O 0.160 0.693 0.485
O 0.500 0.500 0.763
O 0.840 0.307 0.485
O 0.340 0.193 0.985
Ca 0.000 0.500 0.250
O 0.307 0.160 0.515
O 0.807 0.340 0.015
O 0.000 0.000 0.737
O 0.193 0.660 0.015
Gd 0.500 0.500 0.500
Ca 0.500 0.000 0.750
O 0.693 0.840 0.515
Nb 0.000 0.000 0.500
Gd 0.000 0.000 0.000
Nb 0.500 0.500 0.000
O 0.500 0.500 0.237
O 0.000 0.000 0.263
Sr 0.500 0.000 0.250
Sr 0.000 0.500 0.750


Entry 14:
Here is crystalline CaGd4O7 at its relaxed geometry from the Materials Project. Energies are from PBE.

Calculated values
Magnetization in Bohr magnetons per cell: 111.999
Formation energy in eV per atom: -3.7543
Energy with MP2020 corrections in eV/atom: -11.500

a b c (Å): 7.216 9.208 11.637
angles (deg): 107.50 99.01 89.95
Fractional positions:
Gd 0.391 0.674 0.563
Gd 0.211 0.934 0.845
O 0.248 0.819 0.994
O 0.050 0.975 0.217
Gd 0.812 0.499 0.241
Gd 0.484 0.284 0.930
Gd 0.309 0.496 0.239
Gd 0.691 0.504 0.761
O 0.127 0.116 0.502
O 0.531 0.475 0.115
O 0.752 0.181 0.006
O 0.665 0.706 0.688
O 0.407 0.420 0.598
O 0.950 0.025 0.783
O 0.178 0.709 0.691
Gd 0.093 0.870 0.375
O 0.441 0.022 0.782
O 0.873 0.884 0.498
Gd 0.609 0.326 0.437
O 0.593 0.580 0.402
Ca 0.110 0.324 0.436
Gd 0.907 0.130 0.625
Gd 0.789 0.066 0.155
O 0.806 0.738 0.230
O 0.309 0.738 0.227
O 0.973 0.525 0.886
O 0.335 0.294 0.312
Gd 0.594 0.869 0.373
Ca 0.290 0.070 0.160
O 0.194 0.262 0.770
O 0.251 0.177 0.001
Gd 0.516 0.716 0.070
Gd 0.188 0.501 0.759
Gd 0.981 0.283 0.929
O 0.749 0.823 0.999
O 0.822 0.291 0.309
O 0.559 0.978 0.218
O 0.027 0.475 0.114
O 0.469 0.525 0.885
O 0.623 0.119 0.499
Gd 0.019 0.717 0.071
O 0.892 0.413 0.601
Gd 0.406 0.131 0.627
Ca 0.890 0.676 0.564
O 0.377 0.881 0.501
O 0.108 0.587 0.399
O 0.691 0.262 0.773
Ca 0.710 0.930 0.840